1.
This record from the Materials Project describes ErZr11Si11PO48 after structural relaxation. The functional is GGA-PBE.

Cell and atoms, written as POSCAR:
```
ErZr11Si11PO48
1.0
3.014 -4.755 0.000
3.014 4.755 0.000
0.000 0.000 57.031
O Si Zr Er P
96 22 22 2 2
direct
0.272 0.589 0.224
0.070 0.750 0.027
0.228 0.411 0.818
0.912 0.228 0.193
0.911 0.228 0.693
0.588 0.772 0.349
0.411 0.228 0.515
0.772 0.589 0.818
0.728 0.412 0.724
0.912 0.228 0.360
0.589 0.272 0.776
0.728 0.412 0.557
0.914 0.727 0.099
0.772 0.589 0.485
0.411 0.728 0.776
0.250 0.930 0.973
0.911 0.228 0.526
0.596 0.775 0.015
0.098 0.273 0.931
0.772 0.588 0.651
0.772 0.089 0.474
0.727 0.902 0.069
0.411 0.228 0.682
0.589 0.772 0.515
0.229 0.411 0.151
0.912 0.728 0.265
0.728 0.411 0.390
0.249 0.569 0.057
0.588 0.272 0.443
0.228 0.912 0.807
0.772 0.088 0.640
0.411 0.229 0.849
0.272 0.588 0.724
0.228 0.411 0.318
0.088 0.771 0.860
0.750 0.070 0.973
0.728 0.411 0.224
0.728 0.412 0.890
0.229 0.912 0.140
0.272 0.089 0.401
0.412 0.228 0.349
0.228 0.911 0.307
0.772 0.589 0.318
0.404 0.225 0.015
0.088 0.272 0.432
0.930 0.250 0.027
0.727 0.914 0.901
0.272 0.088 0.735
0.771 0.589 0.151
0.412 0.728 0.443
0.089 0.272 0.599
0.728 0.911 0.401
0.751 0.431 0.057
0.412 0.728 0.276
0.088 0.772 0.193
0.089 0.772 0.526
0.728 0.912 0.735
0.588 0.272 0.110
0.089 0.272 0.765
0.272 0.588 0.890
0.228 0.912 0.640
0.086 0.273 0.099
0.412 0.728 0.110
0.772 0.089 0.307
0.771 0.088 0.140
0.272 0.089 0.235
0.589 0.771 0.849
0.589 0.772 0.682
0.772 0.088 0.807
0.902 0.727 0.931
0.272 0.088 0.568
0.273 0.086 0.901
0.089 0.772 0.693
0.912 0.728 0.432
0.228 0.911 0.474
0.775 0.596 0.985
0.431 0.751 0.943
0.728 0.911 0.235
0.272 0.588 0.557
0.911 0.728 0.765
0.589 0.272 0.610
0.911 0.728 0.599
0.088 0.772 0.360
0.225 0.404 0.985
0.728 0.912 0.568
0.912 0.229 0.860
0.228 0.412 0.651
0.273 0.098 0.069
0.088 0.272 0.265
0.569 0.249 0.943
0.411 0.728 0.610
0.228 0.411 0.485
0.589 0.772 0.182
0.411 0.228 0.182
0.588 0.272 0.276
0.272 0.589 0.390
0.500 0.500 0.167
0.000 0.000 0.750
0.500 0.000 0.792
0.500 0.000 0.125
0.500 0.500 0.333
0.500 0.500 0.667
0.000 0.000 0.916
0.000 0.500 0.208
0.000 0.000 0.583
0.500 0.000 0.292
0.000 0.500 0.875
0.500 0.500 0.000
0.000 0.000 0.084
0.500 0.500 0.833
0.500 0.500 0.500
0.500 0.000 0.625
0.000 0.000 0.250
0.000 0.000 0.417
0.000 0.500 0.708
0.000 0.500 0.542
0.000 0.500 0.375
0.500 0.000 0.458
0.500 0.000 0.375
0.000 0.000 0.333
0.500 0.500 0.417
0.000 0.000 0.667
0.000 0.000 0.167
0.500 0.500 0.084
0.000 0.500 0.625
0.000 0.500 0.458
0.000 0.500 0.125
0.500 0.500 0.250
0.000 0.500 0.792
0.000 0.000 0.833
0.500 0.500 0.750
0.500 0.000 0.875
0.500 0.500 0.583
0.000 0.000 0.500
0.500 0.500 0.916
0.500 0.000 0.208
0.500 0.000 0.542
0.000 0.000 0.000
0.500 0.000 0.708
0.000 0.500 0.292
0.500 0.000 0.042
0.000 0.500 0.958
0.000 0.500 0.042
0.500 0.000 0.958
```

Values from the calculation:
As for the formation energy: -3547 meV/atom. Its space group is No. 21. Its crystal system is orthorhombic. The energy comes out at -8.6609 eV/atom.

2.
This record from the Materials Project describes Er2Pb2O7 after structural relaxation. The functional is GGA-PBE.

Cell and atoms, written as POSCAR:
```
Er2Pb2O7
1.0
0.000 5.363 5.363
5.363 0.000 5.363
5.363 5.363 0.000
Er O Pb
4 14 4
direct
0.625 0.625 0.625
0.625 0.625 0.125
0.625 0.125 0.625
0.125 0.625 0.625
0.476 0.476 0.024
0.024 0.476 0.024
0.476 0.024 0.024
0.774 0.226 0.774
0.500 0.500 0.500
0.774 0.226 0.226
0.226 0.226 0.774
0.476 0.024 0.476
0.226 0.774 0.226
0.750 0.750 0.750
0.024 0.476 0.476
0.774 0.774 0.226
0.226 0.774 0.774
0.024 0.024 0.476
0.125 0.125 0.625
0.125 0.625 0.125
0.625 0.125 0.125
0.125 0.125 0.125
```

Values from the calculation:
As for the formation energy: -2548 meV/atom. Its space group is No. 227. Its crystal system is cubic. The energy comes out at -6.7646 eV/atom.

3.
This record from the Materials Project describes Er2Si2PbO8 after structural relaxation. The functional is GGA-PBE.

Cell and atoms, written as POSCAR:
```
Er2Si2PbO8
1.0
4.884 -8.460 0.000
4.884 8.460 0.000
0.000 0.000 6.910
O Si Pb Er
24 6 3 6
direct
0.073 0.518 0.746
0.225 0.297 0.929
0.230 0.310 0.568
0.311 0.084 0.435
0.079 0.770 0.568
0.770 0.684 0.068
0.556 0.740 0.249
0.915 0.230 0.068
0.260 0.816 0.249
0.703 0.928 0.929
0.460 0.272 0.752
0.184 0.444 0.249
0.316 0.085 0.068
0.773 0.689 0.435
0.728 0.187 0.752
0.916 0.227 0.435
0.445 0.927 0.746
0.813 0.540 0.752
0.072 0.775 0.929
0.482 0.555 0.746
0.690 0.921 0.568
0.927 0.479 0.257
0.521 0.447 0.257
0.553 0.073 0.257
0.635 0.990 0.751
0.647 0.640 0.253
0.360 0.008 0.253
0.010 0.645 0.751
0.992 0.353 0.253
0.355 0.365 0.751
0.333 0.667 0.456
0.667 0.333 0.508
0.667 0.333 0.997
0.724 0.003 0.249
0.009 0.281 0.754
0.719 0.728 0.754
0.272 0.991 0.754
0.997 0.721 0.249
0.279 0.276 0.249
```

Values from the calculation:
As for the formation energy: -3258 meV/atom. Its space group is No. 143. Its crystal system is trigonal. The energy comes out at -7.7028 eV/atom.

Question: Number 1 is which compound?
Answer: ErZr11Si11PO48